# 1
{"formula": "Li3BiH8O7", "functional": "PBE", "state": "optimized geometry", "magmom_total_mub_per_fu": 0.001, "energy_corrected_mp2020_ev_per_atom": -5.28, "final_energy_ev_per_cell": -191.1, "formation_energy_ev_per_fu": -29.0, "cell": [[6.4678, 0.0000, 0.0000], [-3.0759, 6.3638, 0.0000], [-0.1903, -0.4957, 8.0370]], "species": ["Li", "Li", "Li", "Li", "Li", "Li", "Bi", "Bi", "H", "H", "H", "H", "H", "H", "H", "H", "H", "H", "H", "H", "H", "H", "H", "H", "O", "O", "O", "O", "O", "O", "O", "O", "O", "O", "O", "O", "O", "O"], "frac_coords": [[0.0254, 0.3420, 0.3855], [0.2120, 0.1101, 0.6001], [0.3231, 0.8375, 0.3701], [0.6769, 0.1625, 0.6299], [0.7880, 0.8899, 0.3999], [0.9746, 0.6580, 0.6145], [0.4643, 0.6208, 0.6794], [0.5357, 0.3792, 0.3206], [0.0151, 0.6818, 0.9677], [0.0158, 0.3351, 0.7407], [0.1258, 0.0327, 0.2562], [0.1780, 0.5473, 0.1007], [0.2138, 0.0274, 0.9698], [0.2366, 0.2582, 0.9633], [0.3208, 0.9341, 0.7565], [0.3792, 0.8342, 0.0658], [0.6208, 0.1658, 0.9342], [0.6792, 0.0659, 0.2435], [0.7634, 0.7418, 0.0367], [0.7862, 0.9726, 0.0302], [0.8220, 0.4527, 0.8993], [0.8742, 0.9673, 0.7438], [0.9842, 0.6649, 0.2593], [0.9849, 0.3182, 0.0323], [0.0702, 0.3905, 0.6322], [0.1373, 0.3933, 0.0997], [0.1631, 0.1141, 0.3631], [0.2270, 0.8160, 0.0988], [0.2498, 0.1438, 0.8936], [0.3216, 0.8815, 0.6427], [0.4481, 0.6384, 0.4163], [0.5519, 0.3616, 0.5837], [0.6784, 0.1185, 0.3573], [0.7502, 0.8562, 0.1064], [0.7730, 0.1840, 0.9012], [0.8369, 0.8859, 0.6369], [0.8627, 0.6067, 0.9003], [0.9298, 0.6095, 0.3678]]}

# 2
{"formula": "Na3BiH8O7", "functional": "PBE", "state": "optimized geometry", "magmom_total_mub_per_fu": 0.002, "energy_corrected_mp2020_ev_per_atom": -5.14, "final_energy_ev_per_cell": -185.6, "formation_energy_ev_per_fu": -28.0, "cell": [[6.9208, 0.0000, 0.0000], [3.2401, 6.7905, 0.0000], [0.0999, 0.6978, 8.4287]], "species": ["Na", "Na", "Na", "Na", "Na", "Na", "Bi", "Bi", "H", "H", "H", "H", "H", "H", "H", "H", "H", "H", "H", "H", "H", "H", "H", "H", "O", "O", "O", "O", "O", "O", "O", "O", "O", "O", "O", "O", "O", "O"], "frac_coords": [[0.0531, 0.1334, 0.3638], [0.2023, 0.3759, 0.6246], [0.3110, 0.6480, 0.3596], [0.6890, 0.3520, 0.6404], [0.7977, 0.6241, 0.3754], [0.9469, 0.8666, 0.6362], [0.4565, 0.8787, 0.6718], [0.5435, 0.1213, 0.3282], [0.0079, 0.8236, 0.9699], [0.0396, 0.1461, 0.7562], [0.1510, 0.4436, 0.2400], [0.1840, 0.9625, 0.0814], [0.2198, 0.4649, 0.9786], [0.2330, 0.2484, 0.9747], [0.3245, 0.5843, 0.7666], [0.3527, 0.6888, 0.0391], [0.6473, 0.3112, 0.9609], [0.6755, 0.4157, 0.2334], [0.7670, 0.7516, 0.0253], [0.7802, 0.5351, 0.0214], [0.8160, 0.0375, 0.9186], [0.8490, 0.5564, 0.7600], [0.9604, 0.8539, 0.2438], [0.9921, 0.1764, 0.0301], [0.0911, 0.1124, 0.6488], [0.1408, 0.1067, 0.0868], [0.1855, 0.3848, 0.3496], [0.2123, 0.7085, 0.0780], [0.2549, 0.3557, 0.9096], [0.3302, 0.6300, 0.6555], [0.4343, 0.8807, 0.4233], [0.5657, 0.1193, 0.5767], [0.6698, 0.3700, 0.3445], [0.7451, 0.6443, 0.0904], [0.7877, 0.2915, 0.9220], [0.8145, 0.6152, 0.6504], [0.8592, 0.8933, 0.9132], [0.9089, 0.8876, 0.3512]]}

# 3
{"formula": "Hf3Bi", "functional": "PBE", "state": "optimized geometry", "magmom_total_mub_per_fu": 0.152, "final_energy_ev_per_cell": -33.8, "formation_energy_ev_per_fu": 0.0, "cell": [[-2.2016, 2.2016, 4.7488], [2.2016, -2.2016, 4.7488], [2.2016, 2.2016, -4.7488]], "species": ["Hf", "Hf", "Hf", "Bi"], "frac_coords": [[0.0000, 0.0000, 0.0000], [0.2500, 0.7500, 0.5000], [0.7500, 0.2500, 0.5000], [0.5000, 0.5000, 0.0000]]}

# 4
{"formula": "HfBi2", "functional": "PBE", "state": "optimized geometry", "final_energy_ev_per_cell": -144.4, "formation_energy_ev_per_fu": -0.3, "cell": [[10.2978, 0.0000, 0.0000], [0.0000, 15.7885, 0.0000], [0.0000, 0.0000, 4.0514]], "species": ["Hf", "Hf", "Hf", "Hf", "Hf", "Hf", "Hf", "Hf", "Bi", "Bi", "Bi", "Bi", "Bi", "Bi", "Bi", "Bi", "Bi", "Bi", "Bi", "Bi", "Bi", "Bi", "Bi", "Bi"], "frac_coords": [[0.0218, 0.2470, 0.0000], [0.1593, 0.5042, 0.0000], [0.3407, 0.0042, 0.5000], [0.4782, 0.7470, 0.5000], [0.5218, 0.2530, 0.5000], [0.6593, 0.9958, 0.5000], [0.8407, 0.4958, 0.0000], [0.9782, 0.7530, 0.0000], [0.0128, 0.3924, 0.5000], [0.1245, 0.0564, 0.0000], [0.1551, 0.8507, 0.5000], [0.2356, 0.1998, 0.5000], [0.2644, 0.6998, 0.0000], [0.3449, 0.3507, 0.0000], [0.3755, 0.5564, 0.5000], [0.4872, 0.8924, 0.0000], [0.5128, 0.1076, 0.0000], [0.6245, 0.4436, 0.5000], [0.6551, 0.6493, 0.0000], [0.7356, 0.3002, 0.0000], [0.7644, 0.8002, 0.5000], [0.8449, 0.1493, 0.5000], [0.8755, 0.9436, 0.0000], [0.9872, 0.6076, 0.5000]]}